Entry from Materials Project: a geometry-optimized Li7Ni9O18 structure (GGA+U).

Cell lengths 5.8319, 6.4252, 8.6392 Å; angles 102.86, 89.48, 104.11 degrees
Last column: nearest neighbours and their distance in Å.
Atoms (fractional coordinates):
Ni  0.1609  0.6662  0.1118  6 O 1.86-1.92
O  0.9413  0.6643  0.2794  3 Ni 1.91-2.02, 1 Li 2.07
O  0.0672  0.3510  0.0443  3 Ni 1.87-2.06, 1 Li 2.04
O  0.3977  0.6815  0.5927  3 Ni 1.87-2.07, 2 Li 2.00-2.05
Ni  0.4879  0.0027  0.3325  6 O 1.90-2.12
Ni  0.8391  0.3338  0.8882  6 O 1.86-1.92
Li  0.6561  0.6599  0.1001  5 O 2.00-2.20
O  0.9328  0.6490  0.9557  3 Ni 1.87-2.06, 1 Li 2.04
O  0.0663  0.3527  0.4068  3 Ni 1.88-2.07, 1 Li 2.06
Ni  0.1644  0.6671  0.4405  6 O 1.87-1.92
O  0.2337  0.9720  0.1578  3 Ni 1.86-2.07, 2 Li 1.99-2.00
O  0.2918  0.0007  0.8305  3 Ni 1.90-2.03, 1 Li 2.07
O  0.6139  0.3148  0.7222  3 Ni 1.90-1.93
Ni  0.8304  0.3323  0.2227  6 O 2.02-2.07
Li  0.6615  0.6547  0.4458  5 O 2.00-2.22
Li  0.9950  0.9950  0.6714  6 O 1.99-2.21
Li  0.3385  0.3453  0.5542  5 O 2.00-2.22
Ni  0.5121  0.9973  0.6675  6 O 1.90-2.12
Ni  0.5000  0.0000  0.0000  6 O 1.91-2.06
O  0.3914  0.6780  0.9620  3 Ni 1.86-2.04, 2 Li 2.00-2.07
O  0.7663  0.0280  0.8422  3 Ni 1.86-2.07, 2 Li 1.99-2.00
Li  0.0050  0.0050  0.3286  6 O 1.99-2.21
O  0.7082  0.9993  0.1695  3 Ni 1.90-2.03, 1 Li 2.07
O  0.7440  0.0195  0.5106  3 Ni 1.90-2.12, 1 Li 2.08
O  0.9337  0.6473  0.5932  3 Ni 1.88-2.07, 1 Li 2.06
O  0.6086  0.3220  0.0380  3 Ni 1.86-2.04, 2 Li 2.00-2.07
Ni  0.8356  0.3329  0.5595  6 O 1.87-1.92
O  0.0587  0.3357  0.7206  3 Ni 1.91-2.02, 1 Li 2.07
O  0.6023  0.3185  0.4073  3 Ni 1.87-2.07, 2 Li 2.00-2.05
Li  0.3439  0.3401  0.8999  5 O 2.00-2.20
O  0.3861  0.6852  0.2778  3 Ni 1.90-1.93
Ni  0.1696  0.6677  0.7773  6 O 2.02-2.07
Li  0.0000  0.0000  0.0000  6 O 2.00-2.24
O  0.2560  0.9805  0.4894  3 Ni 1.90-2.12, 1 Li 2.08

***

Entry from Materials Project: a geometry-optimized Li7Ni5O12 structure (GGA+U).

Cell lengths 4.9901, 4.9901, 9.4766 Å; angles 85.06, 94.94, 60.77 degrees
Last column: nearest neighbours and their distance in Å.
Atoms (fractional coordinates):
Ni  0.4130  0.4130  0.2500  6 O 1.90-1.93
O  0.0683  0.7546  0.1305  3 Ni 1.90-2.05, 2 Li 2.06-2.07
O  0.9381  0.2562  0.8732  2 Ni 1.88-1.91, 2 Li 2.03-2.06
Li  0.7460  0.7460  0.2500  6 O 2.04-2.20
Li  0.1766  0.6553  0.5101  5 O 2.00-2.14
Li  0.2585  0.2585  0.7500  6 O 1.99-2.22
O  0.1594  0.3421  0.3744  3 Ni 1.93-2.01, 1 Li 2.14
Li  0.9188  0.9188  0.7500  6 O 2.03-2.16
O  0.5513  0.3014  0.6325  2 Ni 1.94-2.08, 4 Li 1.96-2.03
O  0.2562  0.9381  0.6268  2 Ni 1.88-1.91, 2 Li 2.03-2.06
Li  0.3265  0.8367  0.9905  5 O 1.96-2.17
O  0.7191  0.4225  0.1410  2 Ni 1.90-1.93, 2 Li 2.04-2.06
O  0.4225  0.7191  0.3590  2 Ni 1.90-1.93, 2 Li 2.04-2.06
Ni  0.0034  0.5040  0.9955  5 O 1.88-2.08
Ni  0.0759  0.0759  0.2500  6 O 1.90-2.05
O  0.3014  0.5513  0.8675  2 Ni 1.94-2.08, 4 Li 1.96-2.03
Li  0.8367  0.3265  0.5095  5 O 1.96-2.17
O  0.3421  0.1594  0.1256  3 Ni 1.93-2.01, 1 Li 2.14
Ni  0.5040  0.0034  0.5045  5 O 1.88-2.08
Li  0.6553  0.1766  0.9899  5 O 2.00-2.14
O  0.8355  0.6511  0.6199  2 Ni 1.88-1.94, 3 Li 2.00-2.08
O  0.7546  0.0683  0.3695  3 Ni 1.90-2.05, 2 Li 2.06-2.07
O  0.6511  0.8355  0.8801  2 Ni 1.88-1.94, 3 Li 2.00-2.08
Ni  0.5857  0.5857  0.7500  6 O 1.91-1.94

Calculated values
ΔE to the lowest computed polymorph = 29.1 meV per atom

***

Entry from Materials Project: a geometry-optimized LiNiO2 structure (GGA+U).

Cell lengths 5.7361, 8.2749, 5.7635 Å; angles 89.83, 90.02, 90.00 degrees
Last column: nearest neighbours and their distance in Å.
Atoms (fractional coordinates):
Ni  0.9989  0.5000  0.0000  6 O 2.03-2.07
Li  0.0012  0.5000  0.5000  6 O 2.03-2.07
O  0.5017  0.7502  0.0303  2 Ni 1.90-1.92, 2 Li 2.07-2.08
Ni  0.7500  0.2503  0.7502  6 O 1.88-1.91
Ni  0.2504  0.7503  0.2504  6 O 1.92-2.10
O  0.9983  0.7499  0.4696  2 Ni 1.91-1.92, 2 Li 2.07-2.08
O  0.2449  0.0141  0.7553  3 Ni 1.95-2.08, 3 Li 2.03-2.17
O  0.7547  0.0226  0.7556  3 Ni 1.88-2.08, 2 Li 2.04-2.05
O  0.5014  0.2499  0.9697  2 Ni 1.91-1.92, 2 Li 2.07-2.08
Li  0.0005  0.0000  0.5000  6 O 2.04-2.08
O  0.2452  0.9860  0.2449  3 Ni 1.95-2.08, 3 Li 2.03-2.17
O  0.5234  0.7515  0.4897  4 Ni 1.90-2.09, 1 Li 1.98
O  0.9764  0.2548  0.9912  4 Ni 1.90-2.11, 1 Li 1.98
O  0.5236  0.2485  0.5103  4 Ni 1.90-2.09, 1 Li 1.98
Li  0.7494  0.7519  0.7494  4 O 1.98-2.15
Ni  0.2504  0.2497  0.7496  6 O 1.92-2.10
O  0.7549  0.9774  0.2443  3 Ni 1.88-2.08, 2 Li 2.04-2.05
Li  0.2505  0.7521  0.7497  6 O 2.17-2.20
Ni  0.5007  0.0000  0.5000  6 O 2.06-2.08
O  0.2534  0.5133  0.2534  3 Ni 1.96-2.07, 3 Li 2.03-2.20
Li  0.4988  0.5000  0.0000  6 O 2.03-2.08
O  0.9985  0.2501  0.5304  2 Ni 1.91-1.92, 2 Li 2.07-2.08
O  0.9768  0.7453  0.0088  4 Ni 1.90-2.11, 1 Li 1.98
O  0.7466  0.4790  0.7465  3 Ni 1.89-2.06, 2 Li 2.04-2.05
Li  0.2505  0.2478  0.2503  6 O 2.17-2.20
Li  0.4992  0.0001  0.0000  6 O 2.03-2.07
O  0.7467  0.5211  0.2533  3 Ni 1.89-2.06, 2 Li 2.04-2.05
Li  0.7494  0.2481  0.2506  4 O 1.98-2.16
O  0.2533  0.4865  0.7466  3 Ni 1.96-2.07, 2 Li 2.03
Ni  0.5009  0.5000  0.4999  6 O 2.01-2.09
Ni  0.7500  0.7497  0.2498  6 O 1.88-1.91
Ni  0.9995  0.0001  0.0001  6 O 2.00-2.11

***

Entry from Materials Project: a geometry-optimized Li2NiO2 structure (GGA+U).

Cell lengths 3.1277, 3.1277, 5.0864 Å; angles 90.00, 90.00, 120.00 degrees
Last column: nearest neighbours and their distance in Å.
Atoms (fractional coordinates):
O  0.6667  0.3333  0.7661  4 Li 1.91-2.07
O  0.3333  0.6667  0.2339  4 Li 1.91-2.07
Li  0.6667  0.3333  0.3583  4 O 1.91-2.07
Ni  0.0000  0.0000  0.0000  6 O 2.16
Li  0.3333  0.6667  0.6417  4 O 1.91-2.07

Calculated values
ΔE to the lowest computed polymorph = 0.0 meV per atom

***

Entry from Materials Project: a geometry-optimized Li3Ni4O8 structure (GGA+U).

Cell lengths 5.0995, 5.8021, 5.6743 Å; angles 119.27, 90.02, 107.69 degrees
Last column: nearest neighbours and their distance in Å.
Atoms (fractional coordinates):
O  0.2825  0.7450  0.8585  3 Ni 1.92-2.04, 1 Li 2.03
O  0.2793  0.2889  0.9037  2 Ni 1.88-1.91, 1 Li 2.07
O  0.2956  0.7387  0.3823  3 Ni 1.87-2.02, 1 Li 2.05
O  0.2839  0.2811  0.3817  3 Ni 1.88-2.08, 1 Li 2.09
O  0.7207  0.7111  0.6149  2 Ni 1.88-1.91, 1 Li 2.07
O  0.7175  0.2550  0.1137  3 Ni 1.92-2.04, 1 Li 2.03
Ni  0.4999  0.0000  0.2515  6 O 2.02-2.08
Ni  0.5077  0.5035  0.2525  6 O 1.87-1.92
Ni  0.4924  0.4966  0.7490  6 O 1.87-1.92
Li  0.0042  0.5007  0.4996  6 O 2.03-2.18
Li  0.0000  0.0000  0.0010  6 O 2.13-2.25
O  0.7161  0.7189  0.1007  3 Ni 1.88-2.08, 1 Li 2.09
O  0.7044  0.2612  0.6437  3 Ni 1.87-2.02, 1 Li 2.05
Ni  0.5000  0.0000  0.7482  6 O 1.91-2.13
Li  0.9958  0.4993  0.9991  6 O 2.03-2.18

Calculated values
ΔE to the lowest computed polymorph = 4.8 meV per atom

***

Entry from Materials Project: a geometry-optimized LiNi9O13 structure (GGA+U).

Cell lengths 2.9046, 5.1180, 16.7833 Å; angles 98.68, 90.01, 106.48 degrees
Last column: nearest neighbours and their distance in Å.
Atoms (fractional coordinates):
O  0.6100  0.2199  0.3031  3 Ni 1.92-1.97
Ni  0.9959  0.9922  0.3291  6 O 1.86-2.08
O  0.3939  0.7874  0.6614  1 Li 1.83, 3 Ni 1.94
O  0.6229  0.2462  0.5970  5 Ni 2.05-2.08
Ni  0.0213  0.0424  0.6516  5 O 1.94-2.06
O  0.5754  0.1494  0.1627  3 Ni 1.93-2.01
O  0.3856  0.7715  0.3742  5 Ni 2.03-2.08
Ni  0.2557  0.5116  0.5646  5 O 1.94-2.08
O  0.8803  0.7593  0.2306  2 Ni 1.82-1.86
O  0.3089  0.6170  0.0860  5 Ni 2.00-2.07
Ni  0.9475  0.8941  0.1355  4 O 1.82-1.95
Ni  0.4996  0.9994  0.4864  6 O 2.03-2.10
O  0.8630  0.7262  0.5127  5 Ni 2.02-2.07
O  0.0102  0.0201  0.0311  5 Ni 1.95-2.11
O  0.4541  0.9079  0.8824  1 Li 1.83, 3 Ni 1.92-1.95
Li  0.4229  0.8446  0.7718  2 O 1.83
Ni  0.0878  0.1750  0.8918  5 O 1.95-2.05
O  0.0896  0.1788  0.7720  2 Ni 2.01-2.03, 2 Li 2.19
Ni  0.7486  0.4976  0.4015  6 O 1.97-2.09
O  0.7181  0.4348  0.9459  5 Ni 2.05-2.10
O  0.1216  0.2435  0.4409  6 Ni 2.08-2.28
Ni  0.3691  0.7377  0.9776  6 O 1.92-2.11
Ni  0.6596  0.3185  0.0612  6 O 2.01-2.10

Calculated values
ΔE to the lowest computed polymorph = 49.1 meV per atom

***

Number 1: calculated formation energy -1367 meV/atom. Number 2: calculated formation energy -1505 meV/atom. Number 3: calculated formation energy -1458 meV/atom. Number 4: calculated formation energy -1722 meV/atom. Number 5: calculated formation energy -1353 meV/atom. Number 6: calculated formation energy -921 meV/atom.